# Li3CuAsCO7

A geometry-optimized Li3CuAsCO7 structure (PBE, the Materials Project database).

Cell: 6.441 5.158 8.584 Å, 85.30 90.00 90.00°
Fractional positions:
Li 0.250 0.763 0.078
Li 0.750 0.237 0.922
Li 0.014 0.221 0.270
Li 0.986 0.779 0.730
Li 0.514 0.779 0.730
Li 0.486 0.221 0.270
O 0.950 0.195 0.702
O 0.250 0.088 0.912
O 0.750 0.473 0.106
O 0.250 0.527 0.894
O 0.550 0.195 0.702
O 0.450 0.805 0.298
O 0.250 0.306 0.128
O 0.750 0.645 0.555
O 0.750 0.199 0.398
O 0.250 0.801 0.602
O 0.750 0.694 0.872
O 0.250 0.355 0.445
O 0.050 0.805 0.298
O 0.750 0.912 0.088
Cu 0.250 0.223 0.674
Cu 0.750 0.777 0.326
C 0.750 0.691 0.023
C 0.250 0.309 0.977
As 0.250 0.693 0.420
As 0.750 0.307 0.580

Formation energy from the elements   -1.895 eV per atom
Space group   P2_1/m, No. 11